{
  "formula": "Nb4P2AuS20",
  "functional": "PBE-GGA",
  "state": "optimized geometry",
  "lattice": [[3.912, 12.835, 0.000], [-3.912, 12.835, 0.000], [0.000, 0.535, 13.126]],
  "species": ["Nb", "Nb", "Nb", "Nb", "Nb", "Nb", "Nb", "Nb", "P", "P", "P", "P", "Au", "Au", "S", "S", "S", "S", "S", "S", "S", "S", "S", "S", "S", "S", "S", "S", "S", "S", "S", "S", "S", "S", "S", "S", "S", "S", "S", "S", "S", "S", "S", "S", "S", "S", "S", "S", "S", "S", "S", "S", "S", "S"],
  "fractional_positions": [[0.418, 0.300, 0.005], [0.582, 0.700, 0.995], [0.700, 0.582, 0.495], [0.300, 0.418, 0.505], [0.573, 0.707, 0.277], [0.427, 0.293, 0.723], [0.293, 0.427, 0.223], [0.707, 0.573, 0.777], [0.211, 0.993, 0.136], [0.789, 0.007, 0.864], [0.007, 0.789, 0.364], [0.993, 0.211, 0.636], [0.000, 0.000, 0.000], [0.000, 0.000, 0.500], [0.500, 0.186, 0.364], [0.500, 0.814, 0.636], [0.814, 0.500, 0.136], [0.186, 0.500, 0.864], [0.427, 0.714, 0.140], [0.573, 0.286, 0.860], [0.286, 0.573, 0.360], [0.714, 0.427, 0.640], [0.249, 0.041, 0.263], [0.751, 0.959, 0.737], [0.959, 0.751, 0.237], [0.041, 0.249, 0.763], [0.870, 0.034, 0.361], [0.130, 0.966, 0.639], [0.966, 0.130, 0.139], [0.034, 0.870, 0.861], [0.264, 0.034, 0.005], [0.736, 0.966, 0.995], [0.966, 0.736, 0.495], [0.034, 0.264, 0.505], [0.548, 0.308, 0.138], [0.452, 0.692, 0.862], [0.692, 0.452, 0.362], [0.308, 0.548, 0.638], [0.576, 0.841, 0.402], [0.424, 0.159, 0.598], [0.159, 0.424, 0.098], [0.841, 0.576, 0.902], [0.408, 0.174, 0.142], [0.592, 0.826, 0.858], [0.826, 0.592, 0.358], [0.174, 0.408, 0.642], [0.668, 0.752, 0.130], [0.332, 0.248, 0.870], [0.248, 0.332, 0.370], [0.752, 0.668, 0.630], [0.305, 0.552, 0.078], [0.695, 0.448, 0.922], [0.448, 0.695, 0.422], [0.552, 0.305, 0.578]],
  "energy_corrected_mp2020_ev_per_atom": -6.013,
  "space_group": "C2/c, No. 15",
  "formation_energy_mev_per_atom": -930
}